# Na6Ta8Si11SO48 | the Materials Project database | PBE-GGA | optimized geometry
# corrected total energy (MP2020 scheme): -1904.21 eV for the cell shown
data_Na6Ta8Si11SO48
_cell_length_a 8.9270
_cell_length_b 15.4524
_cell_length_c 22.7912
_cell_angle_alpha 89.97
_cell_angle_beta 89.90
_cell_angle_gamma 89.86
_symmetry_space_group_name_H-M 'P 1'
_symmetry_Int_Tables_number 1
_symmetry_space_group_name_Hall 'P 1'
loop_
_atom_site_label
_atom_site_fract_x
_atom_site_fract_y
_atom_site_fract_z
Na1 0.0000 0.0000 0.0000
Na2 0.0002 0.9966 0.4984
Na3 0.0016 0.6698 0.1645
Na4 0.0066 0.3280 0.3315
Na5 0.0154 0.3339 0.8334
Na6 0.1430 0.4969 0.2477
Na7 0.1852 0.1493 0.5831
Na8 0.3230 0.0142 0.0832
Na9 0.3260 0.6805 0.7482
Na10 0.5015 0.5015 0.0010
Na11 0.5039 0.5007 0.5003
Na12 0.5051 0.8353 0.8329
Na13 0.5066 0.1658 0.6677
Na14 0.5086 0.8323 0.3305
Na15 0.5102 0.1688 0.1652
Na16 0.6885 0.3471 0.9162
Na17 0.8215 0.1811 0.7492
Na18 0.9989 0.6659 0.6644
Ta1 0.9996 0.9977 0.1450
Ta2 0.0021 0.0029 0.3516
Ta3 0.0015 0.9953 0.6446
Ta4 0.0033 0.6577 0.5232
Ta5 0.0038 0.3283 0.1868
Ta6 0.0048 0.3334 0.6871
Ta7 0.0080 0.6573 0.0240
Ta8 0.0089 0.3305 0.9786
Ta9 0.0092 0.6602 0.8098
Ta10 0.0106 0.0019 0.8520
Ta11 0.0155 0.3327 0.4791
Ta12 0.4958 0.1584 0.3079
Ta13 0.4971 0.8317 0.9803
Ta14 0.5004 0.1639 0.8121
Ta15 0.5013 0.5034 0.3519
Ta16 0.5023 0.5002 0.8545
Ta17 0.5068 0.1585 0.5216
Ta18 0.5067 0.4976 0.1431
Ta19 0.5083 0.4995 0.6437
Ta20 0.5077 0.8313 0.1875
Ta21 0.5082 0.8327 0.6867
Ta22 0.5088 0.1662 0.0205
Ta23 0.5147 0.8312 0.4795
Ta24 0.9949 0.6627 0.3091
Si1 0.1495 0.1872 0.0825
Si2 0.1491 0.8545 0.7496
Si3 0.1498 0.5203 0.4152
Si4 0.1519 0.4722 0.0838
Si5 0.1536 0.1423 0.7470
Si6 0.2144 0.8295 0.0842
Si7 0.2162 0.1639 0.4160
Si8 0.2204 0.4944 0.7487
Si9 0.2893 0.9946 0.2483
Si10 0.2936 0.6664 0.9160
Si11 0.2973 0.3332 0.5834
Si12 0.3581 0.3088 0.9158
Si13 0.3595 0.9720 0.5819
Si14 0.3615 0.6882 0.5825
Si15 0.3623 0.0194 0.9168
Si16 0.3621 0.6447 0.2478
Si17 0.3648 0.3533 0.2492
Si18 0.6466 0.3551 0.7495
Si19 0.6486 0.6880 0.0822
Si20 0.6504 0.0189 0.4149
Si21 0.6522 0.6418 0.7491
Si22 0.6521 0.9742 0.0818
Si23 0.7157 0.6638 0.4167
Si24 0.7169 0.9959 0.7504
Si25 0.7176 0.3314 0.0819
Si26 0.7882 0.4954 0.2491
Si27 0.7949 0.1620 0.9154
Si28 0.7959 0.8306 0.5829
Si29 0.8592 0.1435 0.2487
Si30 0.8590 0.1887 0.5825
Si31 0.8592 0.4726 0.5818
Si32 0.8610 0.5210 0.9164
Si33 0.8616 0.8552 0.2498
S1 0.1490 0.8081 0.4159
S2 0.6490 0.3079 0.4157
S3 0.8624 0.8082 0.9160
O1 0.0684 0.2357 0.7419
O2 0.0699 0.4251 0.4228
O3 0.0709 0.0971 0.8045
O4 0.0735 0.9003 0.6921
O5 0.0735 0.2334 0.0253
O6 0.0741 0.5689 0.0759
O7 0.0759 0.4315 0.1426
O8 0.0769 0.7575 0.7576
O9 0.0784 0.5674 0.3572
O10 0.0790 0.0902 0.0895
O11 0.0804 0.8954 0.4100
O12 0.0826 0.7683 0.4689
O13 0.1069 0.2490 0.4232
O14 0.1076 0.7464 0.0733
O15 0.1112 0.4116 0.7418
O16 0.1137 0.0767 0.4093
O17 0.1159 0.4139 0.0257
O18 0.1171 0.5836 0.7568
O19 0.1172 0.9147 0.8069
O20 0.1171 0.9188 0.0897
O21 0.1175 0.5823 0.4721
O22 0.1187 0.2483 0.1397
O23 0.1203 0.0835 0.6891
O24 0.1218 0.7546 0.3629
O25 0.1784 0.3189 0.9222
O26 0.1802 0.0079 0.9078
O27 0.1802 0.6506 0.2589
O28 0.1802 0.6792 0.5731
O29 0.1801 0.9895 0.5891
O30 0.1815 0.6536 0.9720
O31 0.1821 0.3472 0.2423
O32 0.1842 0.9835 0.3065
O33 0.1858 0.3120 0.6388
O34 0.1894 0.0127 0.1898
O35 0.1888 0.3464 0.5254
O36 0.1894 0.6802 0.8569
O37 0.3142 0.8170 0.4214
O38 0.3230 0.1527 0.4745
O39 0.3227 0.8486 0.0262
O40 0.3236 0.4831 0.8070
O41 0.3237 0.8153 0.1402
O42 0.3249 0.5170 0.6924
O43 0.3261 0.1795 0.3596
O44 0.3295 0.8400 0.7422
O45 0.3305 0.1742 0.0752
O46 0.3312 0.4852 0.0894
O47 0.3315 0.5077 0.4088
O48 0.3327 0.1519 0.7553
O49 0.3848 0.5789 0.1929
O50 0.3896 0.0789 0.9751
O51 0.3901 0.7465 0.6416
O52 0.3916 0.4170 0.3063
O53 0.3922 0.9140 0.5241
O54 0.3933 0.2483 0.8583
O55 0.3954 0.0817 0.2564
O56 0.3962 0.2449 0.5731
O57 0.3968 0.5796 0.9086
O58 0.3995 0.9118 0.2420
O59 0.3996 0.4181 0.5899
O60 0.4024 0.7508 0.9229
O61 0.4325 0.0706 0.5748
O62 0.4361 0.0672 0.8592
O63 0.4363 0.5976 0.3065
O64 0.4367 0.5926 0.5899
O65 0.4372 0.7355 0.5253
O66 0.4373 0.9292 0.6396
O67 0.4382 0.4002 0.1919
O68 0.4379 0.7388 0.2425
O69 0.4398 0.2584 0.2586
O70 0.4405 0.2632 0.9721
O71 0.4411 0.9241 0.9228
O72 0.4415 0.4025 0.9086
O73 0.5695 0.5968 0.8057
O74 0.5691 0.7358 0.7420
O75 0.5689 0.9303 0.1384
O76 0.5696 0.0686 0.0746
O77 0.5697 0.9247 0.4229
O78 0.5719 0.4015 0.6924
O79 0.5737 0.5926 0.0902
O80 0.5736 0.7343 0.0244
O81 0.5766 0.0692 0.3590
O82 0.5796 0.2566 0.7562
O83 0.5798 0.3953 0.4105
O84 0.5823 0.2675 0.4691
O85 0.6074 0.7491 0.4230
O86 0.6113 0.9115 0.7423
O87 0.6123 0.4169 0.0897
O88 0.6127 0.2452 0.0750
O89 0.6135 0.5768 0.4091
O90 0.6176 0.0814 0.4725
O91 0.6182 0.0848 0.7569
O92 0.6182 0.9139 0.0242
O93 0.6190 0.7489 0.1395
O94 0.6196 0.4133 0.8085
O95 0.6218 0.5817 0.6917
O96 0.6232 0.2551 0.3632
O97 0.6786 0.1791 0.5735
O98 0.6799 0.1539 0.2591
O99 0.6802 0.4851 0.5892
O100 0.6803 0.5084 0.9086
O101 0.6820 0.8444 0.2417
O102 0.6849 0.4828 0.3075
O103 0.6855 0.5137 0.1921
O104 0.6859 0.1493 0.9724
O105 0.6877 0.8155 0.6397
O106 0.6886 0.8468 0.5252
O107 0.6909 0.1807 0.8572
O108 0.6969 0.8174 0.9208
O109 0.8142 0.3171 0.4225
O110 0.8194 0.3456 0.0227
O111 0.8254 0.0150 0.6932
O112 0.8248 0.6792 0.3593
O113 0.8262 0.3171 0.1391
O114 0.8264 0.9831 0.8071
O115 0.8277 0.6527 0.4729
O116 0.8291 0.3411 0.7416
O117 0.8301 0.6791 0.0728
O118 0.8321 0.0077 0.4092
O119 0.8316 0.6547 0.7587
O120 0.8319 0.9850 0.0890
O121 0.8892 0.2458 0.6417
O122 0.8903 0.7549 0.8625
O123 0.8905 0.0817 0.1921
O124 0.8931 0.4134 0.5243
O125 0.8929 0.5828 0.9728
O126 0.8945 0.2504 0.9227
O127 0.8949 0.9155 0.3073
O128 0.8981 0.9173 0.5899
O129 0.8997 0.0759 0.9089
O130 0.9001 0.5813 0.2568
O131 0.9025 0.7466 0.5731
O132 0.9048 0.4145 0.2430
O133 0.9281 0.7688 0.9685
O134 0.9307 0.8956 0.9093
O135 0.9321 0.4239 0.9222
O136 0.9357 0.5699 0.8593
O137 0.9367 0.0975 0.3065
O138 0.9374 0.2380 0.2425
O139 0.9370 0.5688 0.5755
O140 0.9377 0.4285 0.6393
O141 0.9387 0.8998 0.1922
O142 0.9400 0.0939 0.5895
O143 0.9401 0.7596 0.2587
O144 0.9412 0.2342 0.5261


# Na2Ta4Ti4Si7S5O48 | the Materials Project database | PBE-GGA | optimized geometry
# corrected total energy (MP2020 scheme): -1730.94 eV for the cell shown
data_Na2Ta4Ti4Si7S5O48
_cell_length_a 8.7852
_cell_length_b 15.2496
_cell_length_c 22.7246
_cell_angle_alpha 89.91
_cell_angle_beta 89.83
_cell_angle_gamma 89.94
_symmetry_space_group_name_H-M 'P 1'
_symmetry_Int_Tables_number 1
_symmetry_space_group_name_Hall 'P 1'
loop_
_atom_site_label
_atom_site_fract_x
_atom_site_fract_y
_atom_site_fract_z
Na1 0.0000 0.0000 0.0000
Na2 0.0010 0.3329 0.3401
Na3 0.0069 0.3350 0.8371
Na4 0.5014 0.8325 0.3394
Na5 0.5068 0.8317 0.8389
Na6 0.5088 0.4997 0.5043
Ta1 0.0080 0.0100 0.3612
Ta2 0.0158 0.0058 0.6431
Ta3 0.0187 0.3420 0.6910
Ta4 0.0191 0.6760 0.0232
Ta5 0.4883 0.1767 0.5254
Ta6 0.4884 0.5088 0.8588
Ta7 0.4909 0.5054 0.1429
Ta8 0.4915 0.8377 0.1881
Ta9 0.5126 0.8365 0.6885
Ta10 0.5195 0.1740 0.0241
Ta11 0.9876 0.6730 0.5253
Ta12 0.9938 0.3369 0.1876
Ti1 0.0008 0.6736 0.8112
Ti2 0.0024 0.3413 0.4812
Ti3 0.0028 0.3422 0.9773
Ti4 0.0134 0.6796 0.3162
Ti5 0.4944 0.1815 0.8150
Ti6 0.5022 0.8384 0.4802
Ti7 0.5050 0.8414 0.9777
Ti8 0.5063 0.5063 0.6489
Ti9 0.5110 0.5125 0.3606
Ti10 0.5133 0.1809 0.3157
Ti11 0.9853 0.0048 0.1437
Ti12 0.9957 0.0111 0.8600
Si1 0.1376 0.4798 0.0822
Si2 0.1502 0.1466 0.7538
Si3 0.1525 0.8143 0.4196
Si4 0.2147 0.8429 0.0824
Si5 0.2167 0.5099 0.7505
Si6 0.2197 0.1776 0.4165
Si7 0.2896 0.6767 0.9156
Si8 0.2908 0.3447 0.5834
Si9 0.3564 0.6469 0.2540
Si10 0.3569 0.3154 0.9195
Si11 0.3686 0.9792 0.5829
Si12 0.6422 0.9794 0.0832
Si13 0.6512 0.3181 0.4186
Si14 0.6511 0.6461 0.7514
Si15 0.7170 0.6749 0.4158
Si16 0.7183 0.3400 0.0819
Si17 0.7887 0.8408 0.5824
Si18 0.7912 0.1746 0.9151
Si19 0.8553 0.1466 0.2510
Si20 0.8550 0.4795 0.5845
Si21 0.8600 0.8150 0.9159
S1 0.1464 0.1929 0.0837
S2 0.1457 0.8610 0.7520
S3 0.1476 0.5274 0.4172
S4 0.2909 0.0069 0.2512
S5 0.3596 0.0278 0.9171
S6 0.3604 0.6932 0.5837
S7 0.3607 0.3605 0.2522
S8 0.6443 0.0273 0.4172
S9 0.6466 0.3598 0.7514
S10 0.6470 0.6944 0.0841
S11 0.7162 0.0060 0.7521
S12 0.7908 0.5061 0.2521
S13 0.8590 0.1944 0.5847
S14 0.8600 0.5278 0.9173
S15 0.8608 0.8601 0.2512
O1 0.0623 0.5755 0.0744
O2 0.0660 0.2418 0.7440
O3 0.0697 0.0958 0.8094
O4 0.0698 0.9078 0.4038
O5 0.0741 0.4317 0.1425
O6 0.0748 0.2312 0.0320
O7 0.0746 0.7654 0.4754
O8 0.0785 0.1044 0.0931
O9 0.0780 0.4391 0.4228
O10 0.0790 0.5672 0.3642
O11 0.0786 0.7743 0.7562
O12 0.0788 0.9029 0.6976
O13 0.1071 0.2594 0.4254
O14 0.1075 0.5914 0.7635
O15 0.1087 0.4200 0.7450
O16 0.1087 0.7550 0.0768
O17 0.1087 0.9276 0.0967
O18 0.1111 0.0860 0.6955
O19 0.1146 0.0874 0.4078
O20 0.1167 0.4158 0.0267
O21 0.1203 0.2481 0.1382
O22 0.1199 0.7532 0.3606
O23 0.1238 0.9161 0.8039
O24 0.1259 0.5808 0.4707
O25 0.1740 0.3254 0.9263
O26 0.1745 0.6563 0.2633
O27 0.1797 0.3515 0.5264
O28 0.1808 0.6877 0.8597
O29 0.1839 0.9910 0.5941
O30 0.1850 0.3207 0.6414
O31 0.1868 0.6549 0.9752
O32 0.1916 0.0162 0.9114
O33 0.1920 0.3502 0.2433
O34 0.1946 0.6846 0.5766
O35 0.1949 0.9866 0.3046
O36 0.1971 0.0156 0.1983
O37 0.3122 0.1832 0.0776
O38 0.3153 0.8515 0.7430
O39 0.3158 0.5162 0.4104
O40 0.3217 0.8222 0.1418
O41 0.3234 0.1540 0.4744
O42 0.3232 0.4861 0.8083
O43 0.3227 0.4910 0.0949
O44 0.3267 0.5168 0.6933
O45 0.3272 0.8537 0.0271
O46 0.3293 0.1836 0.3587
O47 0.3325 0.1554 0.7636
O48 0.3346 0.8265 0.4254
O49 0.3823 0.0804 0.9713
O50 0.3836 0.4149 0.3040
O51 0.3855 0.7486 0.6376
O52 0.3871 0.2531 0.8610
O53 0.3899 0.0804 0.2601
O54 0.3899 0.9233 0.2456
O55 0.3910 0.9164 0.5263
O56 0.3955 0.2550 0.5764
O57 0.3966 0.5882 0.9103
O58 0.3975 0.5873 0.1956
O59 0.4007 0.4274 0.5924
O60 0.4008 0.7597 0.9274
O61 0.4288 0.0668 0.8645
O62 0.4287 0.2727 0.2572
O63 0.4289 0.4014 0.1978
O64 0.4295 0.9391 0.9231
O65 0.4311 0.2639 0.9757
O66 0.4307 0.6063 0.5905
O67 0.4310 0.7335 0.5311
O68 0.4335 0.9319 0.6424
O69 0.4379 0.5972 0.3093
O70 0.4385 0.7442 0.2444
O71 0.4433 0.4073 0.9075
O72 0.4444 0.0746 0.5737
O73 0.5641 0.0746 0.0747
O74 0.5665 0.7440 0.7432
O75 0.5668 0.4119 0.4057
O76 0.5721 0.5994 0.8086
O77 0.5743 0.2671 0.4748
O78 0.5737 0.7304 0.0325
O79 0.5753 0.9318 0.1431
O80 0.5780 0.0668 0.3641
O81 0.5777 0.2717 0.7588
O82 0.5791 0.3985 0.6982
O83 0.5792 0.6053 0.0952
O84 0.5793 0.9384 0.4228
O85 0.6072 0.7585 0.4257
O86 0.6092 0.2542 0.0767
O87 0.6100 0.5856 0.4096
O88 0.6139 0.4244 0.0988
O89 0.6140 0.5869 0.6932
O90 0.6165 0.9236 0.7446
O91 0.6168 0.0812 0.7592
O92 0.6182 0.2545 0.3605
O93 0.6186 0.9165 0.0270
O94 0.6205 0.7485 0.1386
O95 0.6261 0.4139 0.8045
O96 0.6274 0.0802 0.4706
O97 0.6743 0.1562 0.2626
O98 0.6735 0.4931 0.5923
O99 0.6762 0.8273 0.9270
O100 0.6793 0.1833 0.8588
O101 0.6790 0.8522 0.5264
O102 0.6830 0.8211 0.6414
O103 0.6873 0.1536 0.9747
O104 0.6914 0.8502 0.2443
O105 0.6941 0.5155 0.9098
O106 0.6947 0.1811 0.5758
O107 0.6973 0.4861 0.3046
O108 0.6965 0.5156 0.1987
O109 0.8094 0.9860 0.8046
O110 0.8107 0.0155 0.6986
O111 0.8118 0.6824 0.0779
O112 0.8143 0.0157 0.4084
O113 0.8147 0.3476 0.7439
O114 0.8211 0.6538 0.4745
O115 0.8231 0.3210 0.1416
O116 0.8278 0.6833 0.3586
O117 0.8278 0.9924 0.0929
O118 0.8286 0.3524 0.0267
O119 0.8299 0.6598 0.7624
O120 0.8338 0.3267 0.4254
O121 0.8818 0.2471 0.6380
O122 0.8832 0.5806 0.9715
O123 0.8844 0.9151 0.3038
O124 0.8900 0.4175 0.5267
O125 0.8903 0.5811 0.2591
O126 0.8904 0.7526 0.8597
O127 0.8908 0.4235 0.2446
O128 0.8932 0.9247 0.5982
O129 0.8968 0.7543 0.5765
O130 0.8983 0.0853 0.1940
O131 0.8980 0.0852 0.9099
O132 0.8998 0.2582 0.9264
O133 0.9270 0.1045 0.5943
O134 0.9282 0.7722 0.2583
O135 0.9284 0.8999 0.1978
O136 0.9301 0.4388 0.9242
O137 0.9313 0.5655 0.8650
O138 0.9321 0.4310 0.6418
O139 0.9317 0.7676 0.9755
O140 0.9326 0.2303 0.5318
O141 0.9355 0.0982 0.3078
O142 0.9382 0.2438 0.2436
O143 0.9393 0.9121 0.9065
O144 0.9427 0.5731 0.5732


no.,DFT formation energy (eV per atom),raw total energy (eV for the cell shown)
1,-3.117,-1805.28
2,-2.845,-1632.01